The following is a PBE-GGA calculation of a geometry-optimized Li3Pu structure, from the Materials Project.

The structure in CIF format:
```
data_Li3Pu
_chemical_formula_sum 'Li6 Pu2'
_cell_length_a 4.3962
_cell_length_b 4.3962
_cell_length_c 9.8279
_cell_angle_alpha 90.00
_cell_angle_beta 90.00
_cell_angle_gamma 90.00
_symmetry_space_group_name_H-M 'I 4/m m m'
_symmetry_Int_Tables_number 139
_symmetry_space_group_name_Hall '-I 4 2'
loop_
_atom_site_label
_atom_site_fract_x
_atom_site_fract_y
_atom_site_fract_z
_atom_site_occupancy
Li1 0.0000 0.0000 0.0000 1
Li2 0.0000 0.5000 0.2500 1
Pu1 0.0000 0.0000 0.5000 1
```

Output
The total magnetization is 13.274 Bohr magnetons per cell. As for the excess energy over the best structure of this formula in the dataset: 0 meV per atom. For the energy relative to the elements, the calculation gives 0.38 eV/atom.

---

The following is a PBE-GGA calculation of a geometry-optimized Ba3MgNb2ZnO9 structure, from the Materials Project.

The structure in CIF format:
```
data_Ba3MgNb2ZnO9
_chemical_formula_sum 'Ba6 Mg2 Nb4 Zn2 O18'
_cell_length_a 11.0194
_cell_length_b 5.8826
_cell_length_c 7.4233
_cell_angle_alpha 90.00
_cell_angle_beta 95.59
_cell_angle_gamma 90.00
_symmetry_space_group_name_H-M 'C 1 m 1'
_symmetry_Int_Tables_number 8
loop_
_symmetry_equiv_pos_as_xyz
'x,y,z'
'x,-y,z'
'x+1/2,y+1/2,z'
'x+1/2,-y+1/2,z'
loop_
_atom_site_label
_atom_site_fract_x
_atom_site_fract_y
_atom_site_fract_z
_atom_site_occupancy
Ba1 0.0000 0.0000 0.0000 1
Ba2 0.0646 0.5000 0.3998 1
Ba3 0.2670 0.0000 0.6668 1
Mg1 0.2790 0.5000 0.1844 1
Nb1 0.1065 0.5000 0.8455 1
Nb2 0.2928 0.0000 0.1721 1
Zn1 0.4120 0.5000 0.5525 1
O1 0.0190 0.2498 0.6928 1
O2 0.1523 0.0000 0.3161 1
O3 0.2112 0.2598 0.0067 1
O4 0.2485 0.5000 0.6722 1
O5 0.3687 0.2668 0.3317 1
O6 0.4611 0.0000 0.0201 1
```

Output
The total magnetization is 2.413 Bohr magnetons per cell. As for the excess energy over the best structure of this formula in the dataset: 203 meV per atom. For the energy relative to the elements, the calculation gives -2.69 eV/atom.

---

The following is a PBE-GGA calculation of a geometry-optimized KHfSnSbO6 structure, from the Materials Project.

The structure in CIF format:
```
data_KHfSnSbO6
_chemical_formula_sum 'K4 Hf4 Sn4 Sb4 O24'
_cell_length_a 8.1541
_cell_length_b 8.1541
_cell_length_c 8.1541
_cell_angle_alpha 90.00
_cell_angle_beta 90.00
_cell_angle_gamma 90.00
_symmetry_space_group_name_H-M 'F -4 3 m'
_symmetry_Int_Tables_number 216
_symmetry_space_group_name_Hall 'F -4 2 3'
loop_
_atom_site_label
_atom_site_fract_x
_atom_site_fract_y
_atom_site_fract_z
_atom_site_occupancy
K1 0.0000 0.0000 0.0000 1
Hf1 0.2500 0.2500 0.2500 1
Sn1 0.0000 0.0000 0.5000 1
Sb1 0.2500 0.2500 0.7500 1
O1 0.0046 0.2500 0.7500 1
```

Output
The total magnetization is 0.000 Bohr magnetons per cell. For the energy relative to the elements, the calculation gives -2.45 eV/atom.

---

The following is a PBE-GGA calculation of a geometry-optimized Rb2Cd3SnAs4 structure, from the Materials Project.

The structure in CIF format:
```
data_Rb2Cd3SnAs4
_chemical_formula_sum 'Rb4 Cd6 Sn2 As8'
_cell_length_a 18.9730
_cell_length_b 4.5198
_cell_length_c 7.8601
_cell_angle_alpha 90.00
_cell_angle_beta 114.29
_cell_angle_gamma 90.00
_symmetry_space_group_name_H-M 'C 1 m 1'
_symmetry_Int_Tables_number 8
loop_
_symmetry_equiv_pos_as_xyz
'x,y,z'
'x,-y,z'
'x+1/2,y+1/2,z'
'x+1/2,-y+1/2,z'
loop_
_atom_site_label
_atom_site_fract_x
_atom_site_fract_y
_atom_site_fract_z
_atom_site_occupancy
Rb1 0.0000 0.0000 0.0000 1
Rb2 0.0018 0.5000 0.5053 1
Cd1 0.1766 0.5000 0.0265 1
Cd2 0.1811 0.0000 0.5027 1
Cd3 0.2991 0.5000 0.4796 1
Sn1 0.3061 0.0000 0.9634 1
As1 0.1335 0.5000 0.3057 1
As2 0.1507 0.0000 0.8153 1
As3 0.3552 0.5000 0.1894 1
As4 0.3589 0.0000 0.6938 1
```

Output
The total magnetization is 0.001 Bohr magnetons per cell. For the energy relative to the elements, the calculation gives -0.30 eV/atom.

---

The following is a PBE-GGA calculation of a geometry-optimized Ag4Bi2O5 structure, from the Materials Project.

The structure in CIF format:
```
data_Ag4Bi2O5
_chemical_formula_sum 'Ag16 Bi8 O20'
_cell_length_a 14.6049
_cell_length_b 5.9809
_cell_length_c 8.7702
_cell_angle_alpha 90.00
_cell_angle_beta 90.00
_cell_angle_gamma 90.00
_symmetry_space_group_name_H-M 'P n n a'
_symmetry_Int_Tables_number 52
loop_
_symmetry_equiv_pos_as_xyz
'x,y,z'
'-x,-y,-z'
'-x+1/2,-y,z'
'x+1/2,y,-z'
'x,-y+1/2,-z+1/2'
'-x,y+1/2,z+1/2'
'-x+1/2,y+1/2,-z+1/2'
'x+1/2,-y+1/2,z+1/2'
loop_
_atom_site_label
_atom_site_fract_x
_atom_site_fract_y
_atom_site_fract_z
_atom_site_occupancy
Ag1 0.0815 0.0094 0.1396 1
Ag2 0.2477 0.7500 0.2500 1
Ag3 0.2500 0.0000 0.9328 1
Bi1 0.1112 0.0099 0.5838 1
O1 0.0427 0.5437 0.1301 1
O2 0.1157 0.1305 0.9130 1
O3 0.2500 0.0000 0.4366 1
```

Output
The total magnetization is 0.005 Bohr magnetons per cell. For the energy relative to the elements, the calculation gives -0.91 eV/atom.

---

The following is a PBE-GGA calculation of a geometry-optimized K2RbCeCl6 structure, from the Materials Project.

The structure in CIF format:
```
data_K2RbCeCl6
_chemical_formula_sum 'K8 Rb4 Ce4 Cl24'
_cell_length_a 11.7007
_cell_length_b 11.7007
_cell_length_c 11.7007
_cell_angle_alpha 90.00
_cell_angle_beta 90.00
_cell_angle_gamma 90.00
_symmetry_space_group_name_H-M 'F m -3 m'
_symmetry_Int_Tables_number 225
_symmetry_space_group_name_Hall '-F 4 2 3'
loop_
_atom_site_label
_atom_site_fract_x
_atom_site_fract_y
_atom_site_fract_z
_atom_site_occupancy
K1 0.2500 0.2500 0.2500 1
Rb1 0.0000 0.0000 0.0000 1
Ce1 0.0000 0.0000 0.5000 1
Cl1 0.0000 0.0000 0.2658 1
```

Output
The total magnetization is 4.000 Bohr magnetons per cell. For the energy relative to the elements, the calculation gives -2.36 eV/atom.